(1)
Computed, not measured: a relaxed structure of LiTiS2O2 at the PBE level of DFT.

Unit cell a=3.4316 b=3.4316 c=10.2862 alpha=85.68 beta=85.68 gamma=62.38
Atoms (fractional coordinates):
O 0.5729 0.5729 0.5487
O 0.4271 0.4271 0.4513
S 0.3156 0.3156 0.1366
S 0.6844 0.6844 0.8634
Ti 0.0000 0.0000 0.0000
Li 0.0000 0.0000 0.5000

(2)
Computed, not measured: a relaxed structure of LiTiS2O8 at the PBE level of DFT.

Unit cell a=9.1703 b=9.3399 c=13.8068 alpha=89.59 beta=90.00 gamma=90.00
Atoms (fractional coordinates):
O 0.2385 0.2752 0.7822
O 0.5197 0.5886 0.7162
O 0.7424 0.7281 0.7166
O 0.5520 0.4959 0.0297
O 0.2409 0.5193 0.8506
O 0.7615 0.2752 0.2822
O 0.4942 0.7675 0.9058
O 0.7224 0.3054 0.9868
O 0.7162 0.7994 0.5083
O 0.0597 0.9966 0.0271
O 0.9403 0.9966 0.5271
O 0.9439 0.4967 0.9751
O 0.5230 0.3090 0.4226
O 0.2196 0.6956 0.5114
O 0.7487 0.0212 0.1499
O 0.7338 0.9783 0.8524
O 0.2878 0.0224 0.1770
O 0.0264 0.1852 0.4202
O 0.5534 0.0034 0.4780
O 0.5251 0.8156 0.0810
O 0.2662 0.9783 0.3524
O 0.4749 0.8156 0.5810
O 0.2418 0.7758 0.7181
O 0.2169 0.1953 0.9843
O 0.2585 0.2221 0.2871
O 0.0232 0.9232 0.7158
O 0.9768 0.9232 0.2158
O 0.7582 0.7758 0.2181
O 0.2776 0.3054 0.4868
O 0.9736 0.1852 0.9202
O 0.4480 0.4959 0.5297
O 0.7804 0.6956 0.0114
O 0.7771 0.9744 0.3241
O 0.5149 0.0876 0.7796
O 0.5058 0.7675 0.4058
O 0.0121 0.7340 0.4059
O 0.2576 0.7281 0.2166
O 0.4725 0.2527 0.5952
O 0.7419 0.4842 0.6452
O 0.9824 0.4172 0.2826
O 0.2801 0.5266 0.3220
O 0.9879 0.7340 0.9059
O 0.2581 0.4842 0.1452
O 0.7199 0.5266 0.8220
O 0.9891 0.2328 0.5932
O 0.7415 0.2221 0.7871
O 0.7824 0.4738 0.1755
O 0.0226 0.6881 0.0801
O 0.2838 0.7994 0.0083
O 0.4851 0.0876 0.2796
O 0.4770 0.3090 0.9226
O 0.7591 0.5193 0.3506
O 0.4803 0.5886 0.2162
O 0.4466 0.0034 0.9780
O 0.2176 0.4738 0.6755
O 0.7122 0.0224 0.6770
O 0.7831 0.1953 0.4843
O 0.5275 0.2527 0.0952
O 0.2229 0.9744 0.8241
O 0.9774 0.6881 0.5801
O 0.2513 0.0212 0.6499
O 0.0561 0.4967 0.4751
O 0.0176 0.4172 0.7826
O 0.0109 0.2328 0.0932
S 0.8197 0.4269 0.2773
S 0.3188 0.0750 0.2779
S 0.3154 0.5732 0.2195
S 0.6846 0.5732 0.7195
S 0.0625 0.1561 0.0091
S 0.9375 0.1561 0.5091
S 0.5605 0.8431 0.4897
S 0.6812 0.0750 0.7779
S 0.5644 0.3400 0.0110
S 0.9380 0.6539 0.9910
S 0.8152 0.9273 0.2235
S 0.4395 0.8431 0.9897
S 0.1803 0.4269 0.7773
S 0.1848 0.9273 0.7235
S 0.0620 0.6539 0.4910
S 0.4356 0.3400 0.5110
Li 0.2879 0.7735 0.3724
Li 0.4774 0.0486 0.6260
Li 0.2042 0.7198 0.8766
Li 0.7958 0.7198 0.3766
Li 0.7121 0.7735 0.8724
Li 0.8025 0.2321 0.1238
Li 0.1975 0.2321 0.6238
Li 0.5226 0.0486 0.1260
Ti 0.1439 0.8589 0.1250
Ti 0.3525 0.1443 0.8760
Ti 0.6475 0.1443 0.3760
Ti 0.1450 0.3586 0.3728
Ti 0.8550 0.3586 0.8728
Ti 0.8561 0.8589 0.6250
Ti 0.6434 0.6367 0.1272
Ti 0.3566 0.6367 0.6272

no.,volume (Å³/cell),energy of formation (kJ per mole of atoms)
1,106.9,-120.09
2,1182.5,-218.05